# 1
44
Lattice="8.1796 0.0000 0.0000 -1.4058 8.0868 0.0000 -0.3738 -0.0757 9.0116" Properties=species:S:1:pos:R:3 comment="NaMnPCO7 GGA+U relaxed" space_group="No. 1" total_energy_ev_per_atom=-7.0071 formation_energy_ev_per_fu=-23.8 energy_mp2020_ev_per_atom=-7.5959 pbc="T T T"
Na 0.0000 0.0000 0.0000
Na -0.7585 3.9336 4.2714
Na 0.6385 5.9580 9.0074
Na 2.6638 8.0261 4.2484
Mn -0.6064 6.9455 5.2050
Mn 0.2762 3.0961 8.0160
Mn 4.1974 2.9183 5.1906
Mn 3.6538 7.1368 8.0188
P 2.4553 0.7933 7.2349
P 2.0186 5.1474 5.9929
P 5.8829 4.8948 7.2121
P 6.7999 1.1171 5.9970
C 0.3895 2.9365 1.4176
C -0.2526 7.1482 2.8217
C 3.8187 6.9290 1.4203
C 4.5138 3.0848 2.7486
O -1.0670 6.2843 3.3870
O -0.2273 2.1967 0.5026
O -0.4612 2.3251 6.3672
O 0.2479 2.8043 2.6344
O -0.0543 7.2316 1.5940
O 0.0574 7.6925 6.8849
O 1.1675 3.8221 0.8250
O 0.3273 7.9137 3.7279
O 0.8736 5.6726 5.0700
O 1.6686 1.7843 8.1265
O 1.4533 4.5203 7.2827
O 3.0499 1.3978 5.9647
O 2.7381 4.1273 5.0909
O 3.5234 0.1912 8.1929
O 3.7185 2.2187 3.3497
O 3.2311 6.1668 0.5042
O 2.9471 6.3472 6.3652
O 3.6438 6.8225 2.6356
O 4.6877 3.1742 1.5313
O 4.9332 3.7536 6.8168
O 5.1174 3.8634 3.6415
O 4.5891 7.8224 0.8294
O 5.6543 1.6225 5.0784
O 5.2092 5.9888 8.0871
O 6.2656 0.4592 7.2831
O 6.4677 5.5050 5.9085
O 7.5506 0.1108 5.0885
O 7.0453 4.4180 8.1401

=====

# 2
75
Lattice="6.7320 0.0000 0.0000 -0.0278 9.0137 0.0000 -0.0471 -0.2101 15.7184" Properties=species:S:1:pos:R:3 comment="Na5Mn2P2C2O14 GGA+U relaxed" space_group="No. 1" total_energy_ev_per_atom=-6.7557 formation_energy_ev_per_fu=-58.4 energy_mp2020_ev_per_atom=-7.2739 pbc="T T T"
Na 0.0000 0.0000 0.0000
Na -0.0117 -0.0535 5.0752
Na 1.6477 7.3861 2.4796
Na 1.6577 7.3773 7.7043
Na 1.6767 7.4418 12.8398
Na 1.7170 2.8159 10.4068
Na 1.7414 3.0578 5.0763
Na 1.7451 2.8885 15.5219
Na 3.4070 1.4295 7.6502
Na 3.4818 1.3844 2.4228
Na 4.9995 2.8868 15.5023
Na 5.0658 3.0641 5.0897
Na 5.0637 2.8190 10.4064
Na 5.0721 7.4369 12.8526
Na 5.1175 7.3799 7.7256
Mn 0.0304 3.9723 2.2896
Mn 0.0301 3.8942 7.5512
Mn 0.0283 3.8238 12.7766
Mn 3.3816 6.4354 10.4676
Mn 3.4329 6.5402 5.1652
Mn 3.4618 6.6079 0.0646
P 0.0178 5.8791 10.0902
P 0.0118 5.8238 15.2445
P 0.0436 5.9768 4.8501
P 3.3914 4.4624 2.6767
P 3.3928 4.4417 7.9625
P 3.3848 4.4188 13.2018
C 0.0373 1.2573 7.7528
C 0.0226 1.2419 13.1082
C 0.0783 1.3267 2.5565
C 3.3843 0.1966 5.0106
C 3.3610 -0.0347 15.4595
C 3.4008 0.0095 10.1591
O 0.0179 2.0565 3.6402
O 0.0312 1.9552 1.3989
O 0.0362 4.6600 0.2276
O 0.0327 1.8880 6.5902
O 0.0213 1.9265 11.9802
O 0.0298 1.9999 8.8179
O 0.0302 -0.0244 13.1425
O 0.0154 1.9648 14.1927
O 0.0197 4.4576 10.7268
O 0.0210 5.7363 8.5300
O 0.0483 -0.0190 7.7668
O 0.0436 4.5839 5.5405
O 0.0832 5.7325 3.3097
O 0.0656 5.5813 13.6774
O 0.1725 0.0569 2.5980
O 1.2422 6.6795 15.6485
O 1.2812 6.8300 5.2484
O 1.2853 6.6729 10.5172
O 2.1255 3.5923 12.8147
O 2.1599 3.5835 2.2798
O 2.1621 3.5753 7.5905
O 3.2861 8.4801 3.9438
O 3.3367 5.8480 2.0039
O 3.3506 8.5079 0.8799
O 3.3714 1.2391 15.5103
O 3.3932 1.2801 10.1210
O 3.4097 1.4926 4.9280
O 3.4060 4.6351 4.2297
O 3.3876 4.6624 9.5358
O 3.3915 5.8216 7.2769
O 3.3794 5.8098 12.5282
O 3.3780 8.3021 9.0726
O 3.3658 8.2671 14.3838
O 3.3794 4.6167 14.7747
O 3.3770 8.3458 11.2859
O 3.4150 8.6261 6.1788
O 4.6430 3.6349 2.2474
O 4.6291 3.5806 7.5943
O 4.6539 3.6063 12.8187
O 5.4791 6.6707 10.5142
O 5.4900 6.6890 15.5204
O 5.5401 6.8112 5.2753

=====

# 3
75
Lattice="6.7318 0.0000 0.0000 -0.0321 9.0059 0.0000 -0.0336 -0.1888 15.6808" Properties=species:S:1:pos:R:3 comment="Na5Mn2P2C2O14 GGA+U relaxed" space_group="No. 1" total_energy_ev_per_atom=-6.7551 formation_energy_ev_per_fu=-58.3 energy_mp2020_ev_per_atom=-7.2733 pbc="T T T"
Na 0.0000 0.0000 0.0000
Na -0.0196 -0.1156 10.3625
Na 1.5882 1.4707 2.7195
Na 1.5790 1.4211 7.7780
Na 1.6370 1.4008 13.0748
Na 3.2118 8.8323 5.1523
Na 3.3201 -0.1132 10.3395
Na 3.3234 -0.1780 15.6660
Na 3.3639 4.5481 2.4868
Na 3.3571 4.4457 7.9125
Na 3.3711 4.3636 13.0267
Na 5.0776 2.8572 5.1071
Na 6.6094 4.3630 13.0238
Na 6.6398 4.4534 7.9286
Na 6.6534 4.5488 2.4656
Mn 1.6203 5.4261 5.0194
Mn 1.6266 5.3819 10.2996
Mn 1.6262 5.3051 15.4394
Mn 4.9798 7.9280 13.1879
Mn 5.0241 8.0081 7.8795
Mn 5.0540 8.0591 2.7929
P 1.6163 7.3910 12.7650
P 1.6389 7.4020 7.5523
P 1.6496 7.5046 2.2665
P 4.9816 5.9472 5.4224
P 4.9897 5.9574 10.6494
P 5.0191 6.0576 0.1760
C 1.6359 2.6941 10.4977
C 1.6593 2.8352 0.0497
C 1.6717 2.7938 5.2835
C 4.9839 1.5810 7.6351
C 4.9991 1.6506 2.4690
C 5.0019 1.4338 12.8992
O 0.3901 8.3595 2.5671
O 0.3719 8.2234 13.2152
O 0.3967 8.2504 7.9738
O 1.6065 3.5131 6.3710
O 1.6225 3.4332 4.1285
O 1.6265 6.1168 2.9486
O 1.6308 3.2655 9.3268
O 1.6230 3.2710 14.5728
O 1.6515 3.5523 1.1307
O 1.6295 3.4480 11.5658
O 1.6178 5.9701 13.3761
O 1.6193 7.2874 11.2137
O 1.6466 1.4118 10.6084
O 1.6689 1.5512 0.0930
O 1.6366 6.0172 8.2377
O 1.6826 7.1937 6.0129
O 1.7094 7.3119 0.7056
O 1.7715 1.5260 5.3123
O 2.8792 8.3522 2.7025
O 2.8564 8.2257 13.2204
O 2.8753 8.2700 7.9643
O 3.7264 5.0545 15.4650
O 3.7352 5.1389 10.3042
O 3.7542 5.0502 5.0755
O 4.8956 0.8678 6.5587
O 4.9210 7.3077 4.7249
O 4.9690 0.9808 3.6011
O 4.9914 2.6874 12.8987
O 5.0095 2.9269 2.5183
O 5.0068 0.6715 11.8432
O 5.0319 0.9486 1.3874
O 5.0009 6.1872 6.9881
O 5.0123 6.2909 1.7334
O 4.9855 6.2092 12.2341
O 4.9888 7.3400 9.9557
O 5.0091 0.7358 14.0332
O 5.0124 2.8582 7.6026
O 4.9819 7.2651 15.1627
O 5.0611 0.9052 8.7674
O 6.2318 5.1075 5.0317
O 6.2485 5.1429 10.3082
O 6.2585 5.0701 15.4757

=====

# 4
48
Lattice="5.2375 0.0000 0.0000 0.1807 11.1814 0.0000 0.2368 3.1592 10.7479" Properties=species:S:1:pos:R:3 comment="Na2MnPCO7 GGA+U relaxed" space_group="No. 1" total_energy_ev_per_atom=-6.8545 formation_energy_ev_per_fu=-27.6 energy_mp2020_ev_per_atom=-7.3942 pbc="T T T"
Na 0.0000 0.0000 0.0000
Na 5.4632 5.1954 8.2131
Na 0.2345 7.3283 5.1960
Na 0.1492 1.1228 3.2192
Na 2.8727 8.7212 10.6919
Na 2.8628 10.6295 8.1279
Na 2.6651 3.5906 2.7142
Na 2.8585 12.7601 5.4237
Mn 0.2270 5.3484 1.9146
Mn 0.4485 12.4705 7.3655
Mn 2.6042 5.4255 6.1820
Mn 2.5986 9.3800 0.8934
P 2.9708 2.8947 8.5711
P 2.9729 6.9425 3.1128
P 5.3111 10.9861 10.3912
P 5.1316 3.7933 4.9649
C 2.9487 7.3745 7.6648
C 2.9617 11.5210 2.3323
C 5.3441 10.5215 5.8562
C 5.1413 3.3266 0.4490
O 0.3684 11.0146 8.8742
O 0.1960 6.4134 0.1586
O 0.2317 2.3585 5.4355
O 0.2206 3.8351 3.4513
O 0.5720 8.9416 0.3921
O 0.6533 4.8743 5.7771
O 1.0483 3.8893 0.8368
O 1.2712 11.0467 6.2554
O 1.7868 6.8614 7.2759
O 1.8489 10.9210 1.9518
O 2.4123 12.9789 7.7434
O 2.2165 5.8573 2.2914
O 2.5807 4.2949 8.0717
O 2.5773 6.8799 4.6005
O 2.8470 13.9283 10.0812
O 2.7087 8.3569 2.5689
O 2.6969 1.3419 3.1434
O 3.0311 8.3602 8.4201
O 3.7308 11.1717 10.5580
O 3.5784 4.0324 5.1604
O 3.9634 6.7133 7.1562
O 4.0651 11.0596 1.8875
O 4.0937 3.9490 0.9117
O 4.3268 11.2059 6.3424
O 4.5313 2.7001 8.3500
O 4.5132 6.5966 3.0266
O 5.2668 9.5500 5.1042
O 5.3587 5.4581 10.4831

=====

# 5
48
Lattice="5.1772 0.0000 0.0000 -0.2090 8.9186 0.0000 -0.0598 -0.1323 13.4284" Properties=species:S:1:pos:R:3 comment="Na2MnPCO7 GGA+U relaxed" space_group="No. 1" total_energy_ev_per_atom=-6.8566 formation_energy_ev_per_fu=-27.7 energy_mp2020_ev_per_atom=-7.3963 pbc="T T T"
Na 0.0000 0.0000 0.0000
Na 5.1612 -0.0039 3.3162
Na 5.1422 0.0815 6.8073
Na 2.2433 7.4714 8.5931
Na 2.3889 4.4912 6.6541
Na 2.4136 4.6137 3.4354
Na 2.3745 4.4764 13.3700
Na 2.3996 4.4146 10.1984
Mn -0.0096 3.5459 8.4177
Mn 0.0536 3.6365 1.6844
Mn 2.2704 0.8248 11.6907
Mn 2.3761 0.9819 5.0413
P 2.7190 1.6108 1.7047
P 2.7543 1.5456 8.3780
P 4.8308 2.9940 5.0891
P 4.8150 2.8883 11.7313
C 2.4180 7.3093 11.7899
C 2.5004 7.3885 5.0538
C 4.8193 6.1077 8.3896
C 4.8968 6.1050 1.6918
O -0.0329 3.7675 12.9541
O -0.0186 3.6976 10.4409
O -0.0004 3.7871 6.3829
O 0.0309 3.8389 3.8654
O 0.3468 1.6118 5.0756
O 0.4102 1.5523 11.7868
O 0.7764 5.4071 8.4389
O 0.8770 5.4614 1.6965
O 1.2433 7.9036 11.7526
O 1.3579 8.0762 5.0370
O 1.9957 2.9976 1.7096
O 2.0316 2.9093 8.3920
O 2.3544 0.7865 0.4747
O 2.3794 0.8140 2.9864
O 2.4009 0.6938 7.1167
O 2.4313 0.6631 9.5822
O 2.5004 6.1357 5.1001
O 2.5527 6.0631 11.7646
O 3.2604 2.7457 5.0832
O 3.2663 2.5905 11.7252
O 3.4042 8.1662 11.7968
O 3.5523 8.1455 5.0422
O 3.7277 5.4061 8.4264
O 3.8807 5.2770 1.7020
O 4.2786 1.9073 1.7050
O 4.3037 1.8357 8.3054
O 4.8133 7.3481 1.6787
O 4.8561 7.3633 8.3141

=====

# 6
48
Lattice="5.2455 0.0000 0.0000 0.2489 8.9796 0.0000 0.0481 0.0378 13.3604" Properties=species:S:1:pos:R:3 comment="Na2MnPCO7 GGA+U relaxed" space_group="No. 1" total_energy_ev_per_atom=-6.8565 formation_energy_ev_per_fu=-27.7 energy_mp2020_ev_per_atom=-7.3962 pbc="T T T"
Na 0.0000 0.0000 0.0000
Na 0.0150 0.0419 3.3257
Na 2.8253 4.6391 10.0933
Na 2.8253 4.5233 6.4255
Na 2.8564 4.5485 13.3335
Na 2.9543 7.3399 1.8496
Na 5.4826 8.9229 9.9963
Na 5.4809 8.9247 6.7441
Mn 2.8169 1.0006 11.7031
Mn 2.8541 0.9481 5.0258
Mn 5.2046 3.6180 8.3486
Mn 5.2184 3.5862 1.7304
P 0.3074 2.9636 4.9684
P 0.3543 3.0013 11.7578
P 2.4202 1.5517 1.6378
P 2.5144 1.6131 8.3878
C 0.3130 6.0550 8.3444
C 0.3425 6.1664 1.6266
C 2.7403 7.4487 11.6925
C 2.7572 7.4908 5.0376
O 0.2440 7.4569 1.6797
O 0.4216 7.2987 8.3548
O 0.8582 1.8276 1.6968
O 0.9622 1.9165 8.3644
O 1.3165 5.2060 8.3295
O 1.4492 5.5441 1.5526
O 1.6713 8.1774 11.6588
O 1.7607 8.3709 5.0416
O 1.8255 2.5814 5.0699
O 1.9246 2.7433 11.7328
O 2.6232 6.2680 5.0255
O 2.7753 6.1937 11.7396
O 2.6685 0.6544 0.3753
O 2.7824 0.6374 2.8336
O 2.8389 0.8261 9.6807
O 2.8851 0.7403 7.1869
O 3.1879 2.8650 1.5869
O 3.2681 2.9776 8.3654
O 3.8713 8.1594 11.7007
O 3.9337 8.1133 5.0064
O 4.3913 5.4346 8.3506
O 4.4763 5.4566 1.6698
O 4.7464 1.6204 4.9785
O 4.8844 1.6265 11.7385
O 5.1896 3.8235 6.1865
O 5.2262 3.8511 10.5385
O 5.2825 3.7905 13.0585
O 5.2908 3.7546 3.6753

=====

# 7
44
Lattice="6.2528 0.0000 0.0000 -0.2127 9.0880 0.0000 -0.0427 -0.3618 10.4674" Properties=species:S:1:pos:R:3 comment="NaMnPCO7 GGA+U relaxed" space_group="No. 1" total_energy_ev_per_atom=-7.0170 formation_energy_ev_per_fu=-23.9 energy_mp2020_ev_per_atom=-7.6058 pbc="T T T"
Na 0.0000 0.0000 0.0000
Na -0.0170 -0.1724 5.2555
Na 0.2054 4.1038 7.9271
Na 2.9697 4.2786 2.6865
Mn 1.5871 8.0639 2.8471
Mn 1.5913 7.8872 8.0802
Mn 4.6739 4.9354 10.3544
Mn 4.7164 5.1153 5.1233
P 1.5868 6.1117 0.2291
P 1.5656 5.9269 5.4640
P 4.6893 7.2546 2.5051
P 4.6864 7.0729 7.7389
C 1.6440 1.3907 2.5714
C 1.7089 1.2203 7.8052
C 4.6999 2.6898 5.3919
C 4.7557 2.8736 0.1558
O 0.3723 4.9650 5.1897
O 0.3500 4.8276 10.3054
O 1.5386 2.6100 2.4113
O 1.4806 7.2405 4.6670
O 1.7034 0.5103 1.5797
O 1.5107 7.0680 9.9029
O 1.5701 6.4324 1.7555
O 1.6519 2.4401 7.6465
O 1.5638 6.2544 6.9894
O 1.7123 0.7711 3.7333
O 1.7473 0.3364 6.8133
O 1.7328 0.5944 8.9669
O 2.7649 4.8419 10.4011
O 2.7865 5.0606 5.0581
O 3.4792 8.1664 2.8275
O 3.4795 7.9725 8.0842
O 4.6521 3.3191 4.2335
O 4.6988 3.7514 1.1487
O 4.7478 1.4675 5.5449
O 4.7085 3.5695 6.3865
O 4.6677 5.9328 3.2940
O 4.7859 1.6472 0.3123
O 4.7339 3.1377 9.4640
O 4.7239 5.7519 8.5276
O 4.7607 6.9355 0.9792
O 4.7448 6.7545 6.2128
O 5.8926 8.1680 2.8818
O 5.8918 8.0022 8.0939